# 1
The following is a DFT calculation (PBE with a Hubbard U) of Li2V2O5F2 after structural relaxation.

Values from the calculation:
Crystal system: triclinic
SG: P-1 (2)
Magnetization: 0.0000 μB per atom

abc: 5.6365 5.9897 10.1319
angles: 104.47 89.00 111.87
Fractional positions:
Li  0.9235  0.1893  0.3950
Li  0.1172  0.2686  0.0844
Li  0.8828  0.7314  0.9156
Li  0.0765  0.8107  0.6050
V  0.6003  0.2426  0.0939
V  0.5308  0.3934  0.6053
V  0.4692  0.6066  0.3947
V  0.3997  0.7574  0.9061
O  0.7039  0.9704  0.0051
O  0.7674  0.2959  0.5682
O  0.4329  0.3801  0.2242
O  0.3073  0.3053  0.4615
O  0.7427  0.4581  0.0139
O  0.2573  0.5419  0.9861
O  0.6927  0.6947  0.5385
O  0.5671  0.6199  0.7758
O  0.2326  0.7041  0.4318
O  0.2961  0.0296  0.9949
F  0.8737  0.2974  0.2262
F  0.3125  0.1406  0.6791
F  0.6875  0.8594  0.3209
F  0.1263  0.7026  0.7738

***

# 2
The following is a DFT calculation (PBE with a Hubbard U) of Na2MnS2O8 after structural relaxation.

Values from the calculation:
Crystal system: monoclinic
SG: C2/c (15)
Magnetization: 0.0000 μB per atom

abc: 6.5656 6.5656 8.9622
angles: 69.07 110.93 102.29
Fractional positions:
Na  0.3092  0.5880  0.5595
Na  0.5880  0.3092  0.9405
Na  0.4121  0.6908  0.0595
Na  0.6908  0.4121  0.4405
Mn  0.0790  0.0790  0.2500
Mn  0.9207  0.9207  0.7500
S  0.0241  0.3968  0.8203
S  0.6031  0.9760  0.3203
S  0.3968  0.0241  0.6797
S  0.9760  0.6032  0.1797
O  0.2852  0.9743  0.8106
O  0.0258  0.7147  0.3107
O  0.9743  0.2852  0.6894
O  0.7147  0.0258  0.1893
O  0.2396  0.9602  0.5325
O  0.0399  0.7604  0.0325
O  0.9602  0.2396  0.9675
O  0.7605  0.0399  0.4675
O  0.2613  0.4738  0.8666
O  0.5263  0.7388  0.3666
O  0.4738  0.2613  0.6335
O  0.7388  0.5263  0.1334
O  0.5853  0.8875  0.7553
O  0.1125  0.4146  0.2553
O  0.8875  0.5853  0.7447
O  0.4146  0.1125  0.2447

***

# 3
The following is a DFT calculation (PBE with a Hubbard U) of Li7Mn5O12 after structural relaxation.

Values from the calculation:
Energy above the most stable polymorph in this dataset: 29 meV per atom
Magnetization: 0.0000 μB per atom

abc: 5.9418 7.6951 9.9627
angles: 78.88 93.44 81.96
Fractional positions:
Li  0.3333  0.6667  0.0000
Li  0.8334  0.6667  0.0000
Li  0.4601  0.1664  0.2540
Li  0.9601  0.1664  0.2540
Li  0.2065  0.1670  0.7461
Li  0.7066  0.1670  0.7460
Li  0.1146  0.5170  0.2409
Li  0.6146  0.5169  0.2410
Li  0.0521  0.8163  0.7591
Li  0.5521  0.8164  0.7590
Li  0.3673  0.5071  0.7572
Li  0.8673  0.5071  0.7572
Li  0.2994  0.8262  0.2428
Li  0.7994  0.8262  0.2428
Mn  0.5834  0.6667  0.5000
Mn  0.9974  0.9901  0.0037
Mn  0.1693  0.3432  0.9963
Mn  0.2509  0.9993  0.5023
Mn  0.9157  0.3340  0.4978
Mn  0.0832  0.6667  0.4999
Mn  0.4975  0.9900  0.0037
Mn  0.6692  0.3433  0.9963
Mn  0.7510  0.9990  0.5021
Mn  0.4157  0.3342  0.4980
O  0.2373  0.0826  0.1049
O  0.7373  0.0826  0.1049
O  0.4294  0.2508  0.8952
O  0.9293  0.2508  0.8951
O  0.4574  0.0941  0.6192
O  0.9573  0.0941  0.6191
O  0.2093  0.2392  0.3809
O  0.7093  0.2392  0.3808
O  0.4198  0.3989  0.1082
O  0.9197  0.3989  0.1082
O  0.2469  0.9344  0.8918
O  0.7469  0.9344  0.8918
O  0.1244  0.4251  0.6149
O  0.6244  0.4252  0.6149
O  0.0423  0.9082  0.3851
O  0.5422  0.9082  0.3851
O  0.0520  0.7710  0.1172
O  0.5520  0.7709  0.1172
O  0.1147  0.5623  0.8828
O  0.6147  0.5624  0.8828
O  0.2916  0.7582  0.6203
O  0.7916  0.7582  0.6203
O  0.3751  0.5751  0.3797
O  0.8751  0.5751  0.3797

***

# 4
The following is a DFT calculation (PBE with a Hubbard U) of VBiPb2O6 after structural relaxation.

Values from the calculation:
Crystal system: orthorhombic
Energy above the most stable polymorph in this dataset: 31 meV per atom
SG: Pnma (62)
Magnetization: 0.0000 μB per atom

abc: 5.8023 10.0911 12.3903
angles: 90.00 90.00 90.00
Fractional positions:
V  0.2500  0.4734  0.2073
V  0.7500  0.9734  0.2927
V  0.7500  0.5266  0.7927
V  0.2500  0.0266  0.7073
Bi  0.7500  0.4995  0.4106
Bi  0.2500  0.5005  0.5894
Bi  0.7500  0.0005  0.9106
Bi  0.2500  0.9995  0.0894
Pb  0.2500  0.2620  0.8743
Pb  0.7500  0.7380  0.1257
Pb  0.7500  0.2026  0.5986
Pb  0.2500  0.2380  0.3743
Pb  0.7500  0.2974  0.0986
Pb  0.2500  0.7026  0.9014
Pb  0.7500  0.7620  0.6257
Pb  0.2500  0.7974  0.4014
O  0.7500  0.1107  0.2096
O  0.2500  0.5073  0.0739
O  0.9921  0.8639  0.0120
O  0.4921  0.1361  0.9880
O  0.0079  0.3639  0.4880
O  0.4921  0.3639  0.4880
O  0.5079  0.6361  0.5120
O  0.9921  0.6361  0.5120
O  0.9876  0.6287  0.7544
O  0.4876  0.3713  0.2456
O  0.4876  0.1287  0.7456
O  0.2500  0.9927  0.5739
O  0.0124  0.3713  0.2456
O  0.7500  0.4927  0.9261
O  0.9876  0.8713  0.2544
O  0.2500  0.6107  0.2904
O  0.7500  0.3893  0.7096
O  0.2500  0.8893  0.7904
O  0.5124  0.8713  0.2544
O  0.7500  0.0073  0.4261
O  0.5124  0.6287  0.7544
O  0.0124  0.1287  0.7456
O  0.0079  0.1361  0.9880
O  0.5079  0.8639  0.0120

***

# 5
The following is a DFT calculation (PBE with a Hubbard U) of Mn3CuP4O16 after structural relaxation.

Values from the calculation:
Crystal system: monoclinic
SG: Pm (6)
Magnetization: 0.5000 μB per atom

abc: 6.0092 4.9049 9.8297
angles: 89.21 90.00 90.00
Fractional positions:
Mn  0.0000  0.4353  0.7855
Mn  0.5000  0.5582  0.2141
Mn  0.5000  0.9339  0.7168
Cu  0.0000  0.0932  0.2900
P  0.5000  0.0799  0.3994
P  0.5000  0.4123  0.9015
P  0.0000  0.5794  0.1010
P  0.0000  0.9232  0.5993
O  0.5000  0.1453  0.5518
O  0.3022  0.2325  0.3267
O  0.6978  0.2325  0.3267
O  0.0000  0.2331  0.6201
O  0.0000  0.2642  0.1180
O  0.2999  0.2720  0.8292
O  0.7001  0.2720  0.8292
O  0.5000  0.3416  0.0542
O  0.0000  0.6455  0.9470
O  0.7968  0.7157  0.1699
O  0.2032  0.7157  0.1699
O  0.5000  0.7247  0.8833
O  0.5000  0.7719  0.3784
O  0.8008  0.7748  0.6713
O  0.1992  0.7748  0.6713
O  0.0000  0.8683  0.4454

***

# 6
The following is a DFT calculation (PBE with a Hubbard U) of Fe4O5F3 after structural relaxation.

Values from the calculation:
Crystal system: triclinic
Energy above the most stable polymorph in this dataset: 27 meV per atom
SG: P1 (1)
Magnetization: 1.5833 μB per atom

abc: 4.7736 6.0649 9.9944
angles: 107.48 94.45 90.15
Fractional positions:
Fe  0.5559  0.8772  0.2354
Fe  0.4999  0.6265  0.7466
Fe  0.4451  0.1323  0.7714
Fe  0.4848  0.3768  0.2711
Fe  0.9726  0.4946  0.9921
Fe  0.0239  0.2507  0.4936
Fe  0.0001  0.0046  0.0061
Fe  0.0104  0.7400  0.4891
O  0.2013  0.4552  0.4092
O  0.1623  0.2048  0.9119
O  0.3027  0.8287  0.6556
O  0.3083  0.0755  0.1529
O  0.3033  0.3266  0.6553
O  0.6820  0.9263  0.8512
O  0.6723  0.4206  0.8455
O  0.7142  0.1749  0.3496
O  0.6991  0.6727  0.3429
O  0.8216  0.7939  0.0876
F  0.2100  0.9474  0.3981
F  0.1916  0.6968  0.9009
F  0.3005  0.5748  0.1485
F  0.8071  0.5498  0.5978
F  0.7954  0.3062  0.1022
F  0.8356  0.0430  0.5855

***

# 7
The following is a DFT calculation (PBE with a Hubbard U) of KVHO3 after structural relaxation.

Values from the calculation:
Crystal system: orthorhombic
SG: Pnma (62)
Magnetization: 0.1667 μB per atom

abc: 3.7565 8.1147 13.7162
angles: 90.00 90.00 90.00
Fractional positions:
K  0.7500  0.7486  0.2310
K  0.2500  0.2514  0.7690
K  0.2500  0.7514  0.7310
K  0.7500  0.2486  0.2690
V  0.7500  0.5743  0.9189
V  0.2500  0.4257  0.0811
V  0.2500  0.9257  0.4189
V  0.7500  0.0743  0.5811
H  0.7500  0.6150  0.5848
H  0.2500  0.3850  0.4152
H  0.2500  0.8850  0.0848
H  0.7500  0.1150  0.9152
O  0.7500  0.7773  0.9037
O  0.2500  0.2227  0.0963
O  0.2500  0.7227  0.4037
O  0.7500  0.2773  0.5963
O  0.7500  0.9652  0.4499
O  0.2500  0.0348  0.5501
O  0.2500  0.5348  0.9499
O  0.7500  0.4652  0.0501
O  0.7500  0.9883  0.6941
O  0.2500  0.0117  0.3059
O  0.2500  0.5117  0.1941
O  0.7500  0.4883  0.8059

***

# 8
The following is a DFT calculation (PBE with a Hubbard U) of MgTl4W2O8 after structural relaxation.

Values from the calculation:
Crystal system: monoclinic
Energy above the most stable polymorph in this dataset: 18 meV per atom
SG: C2 (5)
Magnetization: 0.0004 μB per atom

abc: 6.5846 7.1327 8.2139
angles: 90.00 91.23 122.79
Fractional positions:
Mg  0.0000  0.3315  0.5000
Tl  0.3591  0.7075  0.8298
Tl  0.6409  0.3484  0.1702
Tl  0.0000  0.8926  0.5000
Tl  0.0000  0.0394  0.0000
W  0.3582  0.6929  0.2866
W  0.6418  0.3348  0.7134
O  0.9019  0.3027  0.7567
O  0.7008  0.5984  0.7907
O  0.3560  0.0986  0.7818
O  0.6440  0.7427  0.2182
O  0.0981  0.4008  0.2433
O  0.2992  0.8976  0.2093
O  0.6783  0.3274  0.4894
O  0.3217  0.6492  0.5106

***

| no. | energy (eV/cell) | ΔH_f (0 K) (meV/atom) | calculated volume (Å³ per cell) |
| --- | --- | --- | --- |
| 1 | -141.533 | -2542.8 | 306 |
| 2 | -160.582 | -2137.8 | 335 |
| 3 | -306.047 | -2127.5 | 441 |
| 4 | -252.488 | -1885.7 | 725 |
| 5 | -171.309 | -2287.5 | 290 |
| 6 | -145.306 | -1844.5 | 275 |
| 7 | -136.595 | -1579.8 | 418 |
| 8 | -85.555 | -1558.4 | 324 |